Computed, not measured: Cs5SiP3 after structural relaxation at the PBE level of DFT.

The space group is Pnma (No. 62) and the conventional cell measures 14.336, 6.064 and 15.722 Å, with angles of 90.00, 90.00 and 90.00 degrees. The asymmetric unit holds Cs at (0.047, 0.250, 0.152), Cs at (0.062, 0.250, 0.451), Cs at (0.117, 0.250, 0.688), Cs at (0.146, 0.750, 0.050), Cs at (0.224, 0.750, 0.795), Si at (0.239, 0.750, 0.436), P at (0.108, 0.250, 0.914), P at (0.138, 0.750, 0.329) and P at (0.193, 0.750, 0.570).

The density is 3.818 g cm⁻³. The calculation puts the total magnetization at 0.0 μB/f.u. The calculation puts the formation enthalpy at 0 K at -0.34 eV per atom.